Record 1
The following is a PBE-GGA calculation of a geometry-optimized LiBi3Cl2O4 structure, from the Materials Project.

Properties
**E_tot**: -5.112 eV/atom
**Offset from the most stable computed form**: 0.005 eV per atom
**Theoretical density**: 6.80 g/cm3

Cell lengths 6.7606, 6.7606, 5.5143 Å; angles 90.00, 90.00, 131.87 degrees
Closest atoms and distances in Å follow each position.
Fractional positions:
O1 0.0006 0.5062 0.7524  1 Li 2.06, 3 Bi 2.25-2.28
O2 0.4938 0.9994 0.7524  1 Li 2.06, 3 Bi 2.25-2.28
O3 0.0006 0.5062 0.2476  1 Li 2.06, 3 Bi 2.25-2.28
O4 0.4938 0.9994 0.2476  1 Li 2.06, 3 Bi 2.25-2.28
Bi1 0.1530 0.8470 0.0000  4 O 2.25
Bi2 0.8397 0.1603 0.0000  4 O 2.26
Bi3 0.3431 0.6569 0.5000  4 O 2.28
Cl1 0.9835 0.0165 0.5000  6 Bi 3.26-3.46, 1 Li 3.51, 4 O 3.52
Cl2 0.4933 0.5067 0.0000  6 Bi 3.32-3.39, 8 O 3.60-3.69
Li1 0.6988 0.3012 0.5000  4 O 2.06


Record 2
The following is a PBE-GGA calculation of a geometry-optimized LiBi3Cl2O4 structure, from the Materials Project.

Properties
**E_tot**: -5.117 eV/atom
**Offset from the most stable computed form**: 0.000 eV per atom
**Theoretical density**: 6.79 g/cm3

Cell lengths 6.8007, 6.8007, 10.9775 Å; angles 90.00, 90.00, 132.20 degrees
Closest atoms and distances in Å follow each position.
Fractional positions:
O1 0.9961 0.5115 0.3763  1 Li 2.05, 3 Bi 2.25-2.28
O2 0.5115 0.9961 0.8763  1 Li 2.05, 3 Bi 2.25-2.28
O3 0.4885 0.0039 0.1237  1 Li 2.05, 3 Bi 2.25-2.28
O4 0.4885 0.0039 0.3763  1 Li 2.05, 3 Bi 2.25-2.28
O5 0.9961 0.5115 0.1237  1 Li 2.05, 3 Bi 2.25-2.28
O6 0.0039 0.4885 0.8763  1 Li 2.05, 3 Bi 2.25-2.28
O7 0.5115 0.9961 0.6237  1 Li 2.05, 3 Bi 2.25-2.28
O8 0.0039 0.4885 0.6237  1 Li 2.05, 3 Bi 2.25-2.28
Bi1 0.6572 0.3428 0.9936  4 O 2.25-2.26
Bi2 0.8544 0.1456 0.7500  4 O 2.28
Bi3 0.1456 0.8544 0.2500  4 O 2.28
Bi4 0.6572 0.3428 0.5064  4 O 2.25-2.26
Bi5 0.3428 0.6572 0.4936  4 O 2.25-2.26
Bi6 0.3428 0.6572 0.0064  4 O 2.25-2.26
Cl1 0.0000 0.0000 0.0000  6 Bi 3.29-3.38, 4 O 3.57
Cl2 0.4864 0.5136 0.7500  6 Bi 3.21-3.42, 1 Li 3.42, 4 O 3.46
Cl3 0.0000 0.0000 0.5000  6 Bi 3.29-3.38, 4 O 3.57
Cl4 0.5136 0.4864 0.2500  6 Bi 3.21-3.42, 1 Li 3.42, 4 O 3.46
Li1 0.7884 0.2116 0.2500  4 O 2.05
Li2 0.2116 0.7884 0.7500  4 O 2.05


Record 3
The following is a PBE-GGA calculation of a geometry-optimized Rb2LiBiCl6 structure, from the Materials Project.

Properties
**E_tot**: -3.449 eV/atom
**Theoretical density**: 3.32 g/cm3

Cell lengths 7.5152, 7.5152, 7.5152 Å; angles 60.00, 60.00, 60.00 degrees
Closest atoms and distances in Å follow each position.
Fractional positions:
Cl1 0.7445 0.2555 0.7445  1 Li 2.60, 1 Bi 2.72
Cl2 0.7445 0.7445 0.2555  1 Li 2.60, 1 Bi 2.72
Cl3 0.2555 0.2555 0.7445  1 Li 2.60, 1 Bi 2.72
Cl4 0.7445 0.2555 0.2555  1 Li 2.60, 1 Bi 2.72
Cl5 0.2555 0.7445 0.7445  1 Li 2.60, 1 Bi 2.72
Cl6 0.2555 0.7445 0.2555  1 Li 2.60, 1 Bi 2.72
Rb1 0.7500 0.7500 0.7500  12 Cl 3.76
Rb2 0.2500 0.2500 0.2500  12 Cl 3.76
Li1 0.5000 0.5000 0.5000  6 Cl 2.60
Bi1 0.0000 0.0000 0.0000  6 Cl 2.72


Record 4
The following is a PBE-GGA calculation of a geometry-optimized MnBiS2Cl structure, from the Materials Project.

Properties
**E_tot**: -5.249 eV/atom
**Theoretical density**: 5.27 g/cm3

Cell lengths 3.8881, 9.5064, 12.3999 Å; angles 90.00, 90.00, 90.00 degrees
Closest atoms and distances in Å follow each position.
Fractional positions:
S1 0.2500 0.2490 0.6778  2 Mn 2.54, 2 Bi 2.71
S2 0.7500 0.5518 0.6195  1 Bi 2.62, 2 Mn 2.66
S3 0.2500 0.7490 0.8222  2 Mn 2.54, 2 Bi 2.71
S4 0.7500 0.0518 0.8805  1 Bi 2.62, 2 Mn 2.66
S5 0.2500 0.4482 0.3805  1 Bi 2.62, 2 Mn 2.66
S6 0.7500 0.7510 0.3222  2 Mn 2.54, 2 Bi 2.71
S7 0.7500 0.2510 0.1778  2 Mn 2.54, 2 Bi 2.71
S8 0.2500 0.9482 0.1195  1 Bi 2.62, 2 Mn 2.66
Cl1 0.2500 0.0656 0.3867  2 Mn 2.57
Cl2 0.2500 0.5656 0.1133  2 Mn 2.57
Cl3 0.7500 0.4344 0.8867  2 Mn 2.57
Cl4 0.7500 0.9344 0.6133  2 Mn 2.57
Bi1 0.7500 0.3015 0.5306  3 S 2.62-2.71
Bi2 0.7500 0.8015 0.9694  3 S 2.62-2.71
Bi3 0.2500 0.6985 0.4694  3 S 2.62-2.71
Bi4 0.2500 0.1985 0.0306  3 S 2.62-2.71
Mn1 0.2500 0.4944 0.7596  4 S 2.54-2.66, 2 Cl 2.57
Mn2 0.7500 0.0056 0.2596  4 S 2.54-2.66, 2 Cl 2.57
Mn3 0.2500 0.9944 0.7404  4 S 2.54-2.66, 2 Cl 2.57
Mn4 0.7500 0.5056 0.2404  4 S 2.54-2.66, 2 Cl 2.57


Record 5
The following is a PBE-GGA calculation of a geometry-optimized BiMo6Cl15 structure, from the Materials Project.

Properties
**E_tot**: -5.332 eV/atom
**Theoretical density**: 3.79 g/cm3

Cell lengths 9.3411, 9.3411, 26.4943 Å; angles 88.80, 88.80, 91.46 degrees
Closest atoms and distances in Å follow each position.
Fractional positions:
Mo1 0.9145 0.8865 0.6121  5 Cl 2.48-2.50, 4 Mo 2.63-2.65
Mo2 0.9770 0.6222 0.6371  5 Cl 2.48-2.49, 4 Mo 2.63-2.65
Mo3 0.6391 0.8238 0.6258  5 Cl 2.48-2.53, 4 Mo 2.63-2.64
Mo4 0.8865 0.9145 0.1121  5 Cl 2.48-2.50, 4 Mo 2.63-2.65
Mo5 0.7004 0.5582 0.6499  5 Cl 2.48-2.53, 4 Mo 2.62-2.65
Mo6 0.2284 0.1822 0.8011  5 Cl 2.45-2.49, 4 Mo 2.63-2.65
Mo7 0.1135 0.0855 0.8879  5 Cl 2.48-2.50, 4 Mo 2.63-2.65
Mo8 0.7716 0.8178 0.1989  5 Cl 2.45-2.49, 4 Mo 2.63-2.65
Mo9 0.4418 0.2996 0.8501  5 Cl 2.48-2.53, 4 Mo 2.62-2.65
Mo10 0.5582 0.7004 0.1499  5 Cl 2.48-2.53, 4 Mo 2.62-2.65
Mo11 0.7968 0.6719 0.5639  5 Cl 2.47-2.49, 4 Mo 2.62-2.64
Mo12 0.1822 0.2284 0.3011  5 Cl 2.45-2.49, 4 Mo 2.63-2.65
Mo13 0.3778 0.0230 0.8629  5 Cl 2.48-2.49, 4 Mo 2.63-2.65
Mo14 0.6222 0.9770 0.1371  5 Cl 2.48-2.49, 4 Mo 2.63-2.65
Mo15 0.8238 0.6391 0.1258  5 Cl 2.48-2.53, 4 Mo 2.63-2.64
Mo16 0.0855 0.1135 0.3879  5 Cl 2.48-2.50, 4 Mo 2.63-2.65
Mo17 0.1762 0.3609 0.8742  5 Cl 2.48-2.53, 4 Mo 2.63-2.64
Mo18 0.3281 0.2032 0.9361  5 Cl 2.47-2.49, 4 Mo 2.62-2.64
Mo19 0.6719 0.7968 0.0639  5 Cl 2.47-2.49, 4 Mo 2.62-2.64
Mo20 0.2032 0.3281 0.4361  5 Cl 2.47-2.49, 4 Mo 2.62-2.64
Mo21 0.2996 0.4418 0.3501  5 Cl 2.48-2.53, 4 Mo 2.62-2.65
Mo22 0.0230 0.3778 0.3629  5 Cl 2.48-2.49, 4 Mo 2.63-2.65
Mo23 0.3609 0.1762 0.3742  5 Cl 2.48-2.53, 4 Mo 2.63-2.64
Mo24 0.8178 0.7716 0.6989  5 Cl 2.45-2.49, 4 Mo 2.63-2.65
Cl1 0.9511 0.4033 0.1233  1 Mo 2.53
Cl2 0.4247 0.8566 0.0917  3 Mo 2.48-2.49
Cl3 0.8770 0.5177 0.7176  3 Mo 2.48-2.49
Cl4 0.4079 0.2150 0.0252  1 Mo 2.49
Cl5 0.0563 0.7356 0.5549  3 Mo 2.48-2.49
Cl6 0.6611 0.4521 0.8253  1 Mo 2.53
Cl7 0.0581 0.1011 0.5806  1 Mo 2.50
Cl8 0.0764 0.2624 0.9557  3 Mo 2.48-2.49
Cl9 0.2624 0.0764 0.4557  3 Mo 2.48-2.49
Cl10 0.7864 0.4891 0.3506  1 Mo 2.49
Cl11 0.7608 0.4653 0.9556  1 Bi 2.52
Cl12 0.5580 0.7087 0.7075  3 Mo 2.48-2.49
Cl13 0.7376 0.9236 0.5443  3 Mo 2.48-2.49
Cl14 0.8566 0.4247 0.5917  3 Mo 2.48-2.49
Cl15 0.9236 0.7376 0.0443  3 Mo 2.48-2.49
Cl16 0.4653 0.7608 0.4556  1 Bi 2.52
Cl17 0.0747 0.8301 0.6828  3 Mo 2.47-2.48
Cl18 0.8989 0.9419 0.9194  1 Mo 2.50
Cl19 0.4891 0.7864 0.8506  1 Mo 2.49
Cl20 0.9419 0.8989 0.4194  1 Mo 2.50
Cl21 0.4033 0.9511 0.6233  1 Mo 2.53
Cl22 0.7614 0.0202 0.6716  3 Mo 2.48-2.49
Cl23 0.3389 0.5479 0.1747  1 Mo 2.53
Cl24 0.5347 0.2392 0.5444  1 Bi 2.52
Cl25 0.5177 0.8770 0.2176  3 Mo 2.48-2.49
Cl26 0.0202 0.7614 0.1716  3 Mo 2.48-2.49
Cl27 0.7356 0.0563 0.0549  3 Mo 2.48-2.49
Cl28 0.6174 0.5389 0.0798  3 Mo 2.47-2.48
Cl29 0.4521 0.6611 0.3253  1 Mo 2.53
Cl30 0.8275 0.8381 0.7877  1 Mo 2.45
Cl31 0.9437 0.2644 0.4451  3 Mo 2.48-2.49
Cl32 0.4611 0.3826 0.4202  3 Mo 2.47-2.48
Cl33 0.4823 0.1230 0.7824  3 Mo 2.48-2.49
Cl34 0.8301 0.0747 0.1828  3 Mo 2.47-2.48
Cl35 0.5921 0.7850 0.9748  1 Mo 2.49
Cl36 0.2913 0.4420 0.7925  3 Mo 2.48-2.49
Cl37 0.4420 0.2913 0.2925  3 Mo 2.48-2.49
Cl38 0.1230 0.4823 0.2824  3 Mo 2.48-2.49
Cl39 0.5389 0.6174 0.5798  3 Mo 2.47-2.48
Cl40 0.2386 0.9798 0.3284  3 Mo 2.48-2.49
Cl41 0.0489 0.5967 0.8767  1 Mo 2.53
Cl42 0.1011 0.0581 0.0806  1 Mo 2.50
Cl43 0.1434 0.5753 0.4083  3 Mo 2.48-2.49
Cl44 0.2392 0.5347 0.0444  1 Bi 2.52
Cl45 0.1699 0.9253 0.8172  3 Mo 2.47-2.48
Cl46 0.5479 0.3389 0.6747  1 Mo 2.53
Cl47 0.2150 0.4079 0.5252  1 Mo 2.49
Cl48 0.3826 0.4611 0.9202  3 Mo 2.47-2.48
Cl49 0.7850 0.5921 0.4748  1 Mo 2.49
Cl50 0.8381 0.8275 0.2877  1 Mo 2.45
Cl51 0.1725 0.1619 0.2123  1 Mo 2.45
Cl52 0.5109 0.2136 0.1494  1 Mo 2.49
Cl53 0.2644 0.9437 0.9451  3 Mo 2.48-2.49
Cl54 0.9798 0.2386 0.8284  3 Mo 2.48-2.49
Cl55 0.2136 0.5109 0.6494  1 Mo 2.49
Cl56 0.9253 0.1699 0.3172  3 Mo 2.47-2.48
Cl57 0.1619 0.1725 0.7123  1 Mo 2.45
Cl58 0.5753 0.1434 0.9083  3 Mo 2.48-2.49
Cl59 0.7087 0.5580 0.2075  3 Mo 2.48-2.49
Cl60 0.5967 0.0489 0.3767  1 Mo 2.53
Bi1 0.6687 0.7575 0.3917  1 Cl 2.52
Bi2 0.3313 0.2425 0.6083  1 Cl 2.52
Bi3 0.7575 0.6687 0.8917  1 Cl 2.52
Bi4 0.2425 0.3313 0.1083  1 Cl 2.52


Record 6
The following is a PBE-GGA calculation of a geometry-optimized Bi2N3Cl9 structure, from the Materials Project.

Properties
**E_tot**: -2.824 eV/atom
**Offset from the most stable computed form**: 0.000 eV per atom
**Theoretical density**: 1.82 g/cm3

Cell lengths 8.9499, 8.9499, 20.4794 Å; angles 90.00, 90.00, 120.00 degrees
Closest atoms and distances in Å follow each position.
Fractional positions:
Cl1 0.5371 0.4629 0.7500  2 Bi 2.75
Cl2 0.1946 0.3891 0.1010  1 Bi 2.45
Cl3 0.8054 0.1946 0.8990  1 Bi 2.45
Cl4 0.8054 0.6109 0.8990  1 Bi 2.45
Cl5 0.9259 0.4629 0.7500  2 Bi 2.75
Cl6 0.8054 0.6109 0.6010  1 Bi 2.45
Cl7 0.1946 0.3891 0.3990  1 Bi 2.45
Cl8 0.5371 0.0741 0.7500  2 Bi 2.75
Cl9 0.0741 0.5371 0.2500  2 Bi 2.75
Cl10 0.3891 0.1946 0.8990  1 Bi 2.45
Cl11 0.4629 0.9259 0.2500  2 Bi 2.75
Cl12 0.4629 0.5371 0.2500  2 Bi 2.75
Cl13 0.6109 0.8054 0.3990  1 Bi 2.45
Cl14 0.6109 0.8054 0.1010  1 Bi 2.45
Cl15 0.1946 0.8054 0.3990  1 Bi 2.45
Cl16 0.1946 0.8054 0.1010  1 Bi 2.45
Cl17 0.3891 0.1946 0.6010  1 Bi 2.45
Cl18 0.8054 0.1946 0.6010  1 Bi 2.45
Bi1 0.3333 0.6667 0.1584  3 Cl 2.45
Bi2 0.6667 0.3333 0.6584  3 Cl 2.45
Bi3 0.3333 0.6667 0.3416  3 Cl 2.45
Bi4 0.6667 0.3333 0.8416  3 Cl 2.45
N1 0.3333 0.6667 0.9115  12 Cl 4.44-4.57
N2 0.3333 0.6667 0.5885  12 Cl 4.44-4.57
N3 0.0000 0.0000 0.7500  12 Cl 4.29-4.51
N4 0.0000 0.0000 0.2500  12 Cl 4.29-4.51
N5 0.6667 0.3333 0.0885  12 Cl 4.44-4.57
N6 0.6667 0.3333 0.4115  12 Cl 4.44-4.57


Record 7
The following is a PBE-GGA calculation of a geometry-optimized Bi2N3Cl9 structure, from the Materials Project.

Properties
**E_tot**: -2.807 eV/atom
**Offset from the most stable computed form**: 0.017 eV per atom
**Theoretical density**: 2.92 g/cm3

Cell lengths 19.0988, 7.4231, 12.4864 Å; angles 90.00, 90.00, 90.00 degrees
Closest atoms and distances in Å follow each position.
Fractional positions:
N1 0.2598 0.2500 0.7750  2 Cl 3.08
N2 0.0957 0.7500 0.9455  4 Cl 3.35-3.72
N3 0.7402 0.7500 0.2250  2 Cl 3.08
N4 0.5962 0.2500 0.1052  5 Cl 3.32-3.59
N5 0.4038 0.7500 0.8948  5 Cl 3.32-3.59
N6 0.9038 0.7500 0.6052  5 Cl 3.32-3.59
N7 0.4043 0.2500 0.4455  4 Cl 3.35-3.72
N8 0.7598 0.2500 0.7250  2 Cl 3.08
N9 0.0962 0.2500 0.3948  5 Cl 3.32-3.59
N10 0.5957 0.7500 0.5545  4 Cl 3.35-3.72
N11 0.2402 0.7500 0.2750  2 Cl 3.08
N12 0.9043 0.2500 0.0545  4 Cl 3.35-3.72
Bi1 0.8292 0.2500 0.4308  6 Cl 2.49-2.78
Bi2 0.3292 0.2500 0.0692  6 Cl 2.49-2.78
Bi3 0.6708 0.7500 0.9308  6 Cl 2.49-2.78
Bi4 0.0057 0.2500 0.7701  6 Cl 2.48-2.72
Bi5 0.1708 0.7500 0.5692  6 Cl 2.49-2.78
Bi6 0.9943 0.7500 0.2299  6 Cl 2.48-2.72
Bi7 0.4943 0.7500 0.2701  6 Cl 2.48-2.72
Bi8 0.5057 0.2500 0.7299  6 Cl 2.48-2.72
Cl1 0.4143 0.7500 0.4271  1 Bi 2.49
Cl2 0.9309 0.9997 0.8346  1 Bi 2.48
Cl3 0.0857 0.2500 0.9271  1 Bi 2.49
Cl4 0.7690 0.0009 0.5285  1 Bi 2.50
Cl5 0.9104 0.5029 0.3249  2 Bi 2.71-2.77
Cl6 0.7690 0.4991 0.5285  1 Bi 2.50
Cl7 0.0896 0.0029 0.6751  2 Bi 2.71-2.77
Cl8 0.7524 0.7500 0.7753  1 Bi 2.49
Cl9 0.5691 0.4997 0.3346  1 Bi 2.48
Cl10 0.0896 0.4971 0.6751  2 Bi 2.71-2.77
Cl11 0.5896 0.0029 0.8249  2 Bi 2.71-2.77
Cl12 0.9104 0.9971 0.3249  2 Bi 2.71-2.77
Cl13 0.4309 0.9997 0.6654  1 Bi 2.48
Cl14 0.7310 0.9991 0.0285  1 Bi 2.50
Cl15 0.2476 0.2500 0.2247  1 Bi 2.49
Cl16 0.7476 0.2500 0.2753  1 Bi 2.49
Cl17 0.2524 0.7500 0.7247  1 Bi 2.49
Cl18 0.0691 0.4997 0.1654  1 Bi 2.48
Cl19 0.9387 0.2500 0.5778  2 Bi 2.72-2.78
Cl20 0.5896 0.4971 0.8249  2 Bi 2.71-2.77
Cl21 0.2310 0.9991 0.4715  1 Bi 2.50
Cl22 0.2690 0.0009 0.9715  1 Bi 2.50
Cl23 0.0613 0.7500 0.4222  2 Bi 2.72-2.78
Cl24 0.9143 0.7500 0.0729  1 Bi 2.49
Cl25 0.4309 0.5003 0.6654  1 Bi 2.48
Cl26 0.5613 0.7500 0.0778  2 Bi 2.72-2.78
Cl27 0.9309 0.5003 0.8346  1 Bi 2.48
Cl28 0.5691 0.0003 0.3346  1 Bi 2.48
Cl29 0.4104 0.9971 0.1751  2 Bi 2.71-2.77
Cl30 0.5857 0.2500 0.5729  1 Bi 2.49
Cl31 0.4104 0.5029 0.1751  2 Bi 2.71-2.77
Cl32 0.4387 0.2500 0.9222  2 Bi 2.72-2.78
Cl33 0.2310 0.5009 0.4715  1 Bi 2.50
Cl34 0.0691 0.0003 0.1654  1 Bi 2.48
Cl35 0.2690 0.4991 0.9715  1 Bi 2.50
Cl36 0.7310 0.5009 0.0285  1 Bi 2.50


Record 8
The following is a PBE-GGA calculation of a geometry-optimized NaBi3Cl2O4 structure, from the Materials Project.

Properties
**E_tot**: -5.020 eV/atom
**Theoretical density**: 6.80 g/cm3

Cell lengths 6.7769, 6.7769, 5.5683 Å; angles 90.00, 90.00, 131.45 degrees
Closest atoms and distances in Å follow each position.
Fractional positions:
Bi1 0.8428 0.1572 0.0000  4 O 2.25
Bi2 0.1578 0.8422 0.0000  4 O 2.27
Bi3 0.6572 0.3428 0.5000  4 O 2.27
O1 0.5050 0.0089 0.2435  3 Bi 2.25-2.27, 1 Na 2.38
O2 0.5050 0.0089 0.7565  3 Bi 2.25-2.27, 1 Na 2.38
O3 0.9911 0.4950 0.2435  3 Bi 2.25-2.27, 1 Na 2.38
O4 0.9911 0.4950 0.7565  3 Bi 2.25-2.27, 1 Na 2.38
Na1 0.3498 0.6502 0.5000  4 O 2.38
Cl1 0.4977 0.5023 0.0000  2 Na 3.33, 6 Bi 3.38-3.42, 8 O 3.64-3.66
Cl2 0.0024 0.9976 0.5000  2 Na 3.36, 6 Bi 3.38-3.41, 8 O 3.65-3.71